Here is K2SrB8H28O28 after structural relaxation from the Materials Project database. Energies are from PBE.

Results
Calculated volume = 9.54 Å³ per atom
Crystal system = orthorhombic
SG = No. 33
Total DFT energy (no corrections) = -397.16 eV per formula unit

a b c (Å): 16.738 13.143 11.616
angles (deg): 90.00 90.00 90.00
Positions (direct):
K 0.179 0.248 0.000
K 0.246 0.802 0.183
K 0.254 0.302 0.683
K 0.321 0.748 0.500
K 0.679 0.252 0.000
K 0.746 0.698 0.183
K 0.754 0.198 0.683
K 0.821 0.752 0.500
Sr 0.197 0.794 0.827
Sr 0.303 0.294 0.327
Sr 0.697 0.706 0.827
Sr 0.803 0.206 0.327
B 0.052 0.028 0.897
B 0.054 0.551 0.157
B 0.055 0.319 0.656
B 0.056 0.037 0.109
B 0.056 0.539 0.944
B 0.064 0.851 0.386
B 0.069 0.009 0.504
B 0.069 0.484 0.556
B 0.431 0.509 0.004
B 0.431 0.984 0.056
B 0.436 0.351 0.886
B 0.444 0.039 0.444
B 0.444 0.537 0.609
B 0.445 0.819 0.156
B 0.446 0.051 0.657
B 0.448 0.528 0.397
B 0.552 0.472 0.897
B 0.554 0.949 0.157
B 0.555 0.181 0.656
B 0.556 0.463 0.109
B 0.556 0.961 0.944
B 0.564 0.649 0.386
B 0.569 0.016 0.556
B 0.569 0.491 0.504
B 0.931 0.516 0.056
B 0.931 0.991 0.004
B 0.936 0.149 0.886
B 0.944 0.461 0.444
B 0.944 0.963 0.609
B 0.945 0.681 0.156
B 0.946 0.449 0.657
B 0.948 0.972 0.397
H 0.025 0.360 0.141
H 0.033 0.845 0.944
H 0.051 0.759 0.651
H 0.059 0.191 0.754
H 0.061 0.754 0.027
H 0.067 0.053 0.283
H 0.069 0.534 0.772
H 0.070 0.725 0.287
H 0.071 0.275 0.212
H 0.080 0.512 0.321
H 0.082 0.988 0.736
H 0.114 0.828 0.588
H 0.116 0.129 0.591
H 0.118 0.283 0.417
H 0.124 0.371 0.330
H 0.127 0.615 0.510
H 0.183 0.625 0.016
H 0.185 0.975 0.994
H 0.192 0.451 0.189
H 0.198 0.076 0.810
H 0.198 0.106 0.206
H 0.203 0.475 0.870
H 0.209 0.595 0.305
H 0.211 0.929 0.408
H 0.213 0.605 0.655
H 0.220 0.471 0.499
H 0.222 0.130 0.500
H 0.226 0.957 0.625
H 0.274 0.457 0.125
H 0.278 0.630 0.000
H 0.280 0.971 0.999
H 0.287 0.105 0.155
H 0.289 0.429 0.908
H 0.291 0.095 0.805
H 0.297 0.975 0.370
H 0.302 0.576 0.310
H 0.302 0.606 0.706
H 0.308 0.951 0.689
H 0.315 0.475 0.494
H 0.317 0.125 0.516
H 0.373 0.115 0.010
H 0.376 0.871 0.830
H 0.382 0.783 0.917
H 0.384 0.629 0.091
H 0.386 0.328 0.088
H 0.418 0.488 0.236
H 0.420 0.012 0.821
H 0.429 0.775 0.712
H 0.430 0.225 0.787
H 0.431 0.034 0.272
H 0.433 0.553 0.783
H 0.439 0.254 0.527
H 0.441 0.691 0.254
H 0.449 0.259 0.151
H 0.467 0.345 0.444
H 0.475 0.860 0.641
H 0.525 0.140 0.141
H 0.533 0.655 0.944
H 0.551 0.741 0.651
H 0.559 0.309 0.754
H 0.561 0.746 0.027
H 0.567 0.447 0.283
H 0.569 0.966 0.772
H 0.570 0.775 0.287
H 0.571 0.225 0.212
H 0.580 0.988 0.321
H 0.582 0.512 0.736
H 0.614 0.672 0.588
H 0.616 0.371 0.591
H 0.618 0.217 0.417
H 0.624 0.129 0.330
H 0.627 0.885 0.510
H 0.683 0.875 0.016
H 0.685 0.525 0.994
H 0.692 0.049 0.189
H 0.698 0.394 0.206
H 0.698 0.424 0.810
H 0.703 0.025 0.870
H 0.709 0.905 0.305
H 0.711 0.571 0.408
H 0.713 0.895 0.655
H 0.720 0.029 0.499
H 0.722 0.370 0.500
H 0.726 0.543 0.625
H 0.774 0.043 0.125
H 0.778 0.870 0.000
H 0.780 0.529 0.999
H 0.787 0.395 0.155
H 0.789 0.071 0.908
H 0.791 0.405 0.805
H 0.797 0.525 0.370
H 0.802 0.894 0.706
H 0.802 0.924 0.310
H 0.808 0.549 0.689
H 0.815 0.025 0.494
H 0.817 0.375 0.516
H 0.873 0.385 0.010
H 0.876 0.629 0.830
H 0.882 0.717 0.917
H 0.884 0.871 0.091
H 0.886 0.172 0.088
H 0.918 0.012 0.236
H 0.920 0.488 0.821
H 0.929 0.725 0.712
H 0.930 0.275 0.787
H 0.931 0.466 0.272
H 0.933 0.947 0.783
H 0.939 0.246 0.527
H 0.941 0.809 0.254
H 0.949 0.241 0.151
H 0.967 0.155 0.444
H 0.975 0.640 0.641
O 0.014 0.046 0.415
O 0.014 0.519 0.648
O 0.015 0.127 0.859
O 0.023 0.657 0.187
O 0.024 0.987 0.612
O 0.025 0.481 0.443
O 0.043 0.287 0.138
O 0.069 0.784 0.951
O 0.090 0.230 0.693
O 0.097 0.045 0.007
O 0.097 0.556 0.046
O 0.099 0.054 0.210
O 0.100 0.380 0.585
O 0.101 0.544 0.844
O 0.103 0.768 0.341
O 0.107 0.912 0.461
O 0.109 0.777 0.650
O 0.110 0.519 0.248
O 0.110 0.992 0.812
O 0.134 0.079 0.533
O 0.139 0.299 0.340
O 0.140 0.549 0.544
O 0.228 0.671 0.995
O 0.232 0.928 0.989
O 0.236 0.413 0.876
O 0.239 0.410 0.166
O 0.240 0.129 0.818
O 0.247 0.148 0.193
O 0.253 0.648 0.693
O 0.260 0.629 0.318
O 0.261 0.910 0.666
O 0.264 0.913 0.376
O 0.268 0.428 0.489
O 0.272 0.171 0.495
O 0.360 0.049 0.044
O 0.361 0.799 0.840
O 0.366 0.579 0.033
O 0.390 0.019 0.748
O 0.390 0.492 0.312
O 0.391 0.277 0.150
O 0.393 0.412 0.961
O 0.397 0.268 0.841
O 0.399 0.044 0.344
O 0.400 0.880 0.085
O 0.401 0.554 0.710
O 0.403 0.056 0.546
O 0.403 0.545 0.507
O 0.410 0.730 0.193
O 0.431 0.284 0.451
O 0.457 0.787 0.638
O 0.475 0.981 0.943
O 0.476 0.487 0.112
O 0.477 0.157 0.687
O 0.485 0.627 0.359
O 0.486 0.019 0.148
O 0.486 0.546 0.915
O 0.514 0.454 0.415
O 0.514 0.981 0.648
O 0.515 0.373 0.859
O 0.523 0.843 0.187
O 0.524 0.513 0.612
O 0.525 0.019 0.443
O 0.543 0.213 0.138
O 0.569 0.716 0.951
O 0.590 0.270 0.693
O 0.597 0.455 0.007
O 0.597 0.944 0.046
O 0.599 0.446 0.210
O 0.600 0.120 0.585
O 0.601 0.956 0.844
O 0.603 0.732 0.341
O 0.607 0.588 0.461
O 0.609 0.723 0.650
O 0.610 0.508 0.812
O 0.610 0.981 0.248
O 0.634 0.421 0.533
O 0.639 0.201 0.340
O 0.640 0.951 0.544
O 0.728 0.829 0.995
O 0.732 0.572 0.989
O 0.736 0.087 0.876
O 0.739 0.090 0.166
O 0.740 0.371 0.818
O 0.747 0.352 0.193
O 0.753 0.852 0.693
O 0.760 0.871 0.318
O 0.761 0.590 0.666
O 0.764 0.587 0.376
O 0.768 0.072 0.489
O 0.772 0.329 0.495
O 0.860 0.451 0.044
O 0.861 0.701 0.840
O 0.866 0.921 0.033
O 0.890 0.008 0.312
O 0.890 0.481 0.748
O 0.891 0.223 0.150
O 0.893 0.088 0.961
O 0.897 0.232 0.841
O 0.899 0.456 0.344
O 0.900 0.620 0.085
O 0.901 0.946 0.710
O 0.903 0.444 0.546
O 0.903 0.955 0.507
O 0.910 0.770 0.193
O 0.931 0.216 0.451
O 0.957 0.713 0.638
O 0.975 0.519 0.943
O 0.976 0.013 0.112
O 0.977 0.343 0.687
O 0.985 0.873 0.359
O 0.986 0.481 0.148
O 0.986 0.954 0.915


Here is NaCaAlOF6 after structural relaxation from the Materials Project database. Energies are from PBE.

Results
Calculated volume = 13.17 Å³ per atom
Crystal system = monoclinic
SG = No. 14
Total DFT energy (no corrections) = -54.36 eV per formula unit

a b c (Å): 5.614 5.720 16.412
angles (deg): 90.00 91.46 90.00
Positions (direct):
Na 0.249 0.162 0.251
Na 0.249 0.338 0.751
Na 0.751 0.662 0.249
Na 0.751 0.838 0.749
Ca 0.247 0.718 0.111
Ca 0.247 0.782 0.611
Ca 0.753 0.218 0.389
Ca 0.753 0.282 0.889
Al 0.264 0.698 0.364
Al 0.264 0.802 0.864
Al 0.736 0.198 0.136
Al 0.736 0.302 0.636
O 0.085 0.067 0.495
O 0.085 0.433 0.995
O 0.915 0.567 0.005
O 0.915 0.933 0.505
F 0.009 0.123 0.653
F 0.009 0.377 0.153
F 0.082 0.068 0.846
F 0.082 0.432 0.346
F 0.250 0.662 0.473
F 0.250 0.838 0.973
F 0.306 0.720 0.252
F 0.306 0.780 0.752
F 0.433 0.525 0.874
F 0.433 0.975 0.374
F 0.458 0.035 0.135
F 0.458 0.465 0.635
F 0.542 0.535 0.365
F 0.542 0.965 0.865
F 0.567 0.025 0.626
F 0.567 0.475 0.126
F 0.694 0.220 0.248
F 0.694 0.280 0.748
F 0.750 0.162 0.027
F 0.750 0.338 0.527
F 0.918 0.568 0.654
F 0.918 0.932 0.154
F 0.991 0.623 0.847
F 0.991 0.877 0.347


Here is Na3NbZnSiP2O12 after structural relaxation from the Materials Project database. Energies are from PBE.

Results
Calculated volume = 13.02 Å³ per atom
Total DFT energy (no corrections) = -135.65 eV per formula unit
Excess energy over the best structure of this formula in the dataset = 8 meV/atom

a b c (Å): 15.788 9.047 8.868
angles (deg): 90.00 124.66 90.00
Positions (direct):
P 0.354 0.901 0.762
P 0.500 0.458 0.762
O 0.561 0.547 0.937
Na 0.007 0.604 0.750
O 0.257 0.144 0.248
Si 0.148 0.393 0.748
O 0.913 0.862 0.750
Zn 0.601 0.759 0.055
Na 0.182 0.067 0.797
Na 0.182 0.933 0.297
Si 0.148 0.607 0.248
O 0.535 0.825 0.558
P 0.854 0.599 0.262
Na 0.249 0.728 0.977
Nb 0.395 0.255 0.936
O 0.355 0.856 0.587
Na 0.749 0.772 0.477
O 0.413 0.638 0.250
O 0.035 0.325 0.558
Nb 0.395 0.745 0.436
O 0.061 0.953 0.437
O 0.355 0.144 0.087
O 0.745 0.808 0.754
O 0.150 0.329 0.915
O 0.353 0.922 0.252
O 0.952 0.653 0.435
Na 0.007 0.396 0.250
O 0.071 0.856 0.745
O 0.245 0.692 0.254
O 0.452 0.847 0.935
O 0.757 0.356 0.748
O 0.855 0.356 0.587
O 0.939 0.068 0.591
O 0.245 0.308 0.754
O 0.439 0.432 0.091
P 0.500 0.542 0.262
O 0.150 0.671 0.415
O 0.853 0.578 0.752
O 0.650 0.171 0.415
P 0.354 0.099 0.262
O 0.571 0.356 0.745
O 0.561 0.453 0.437
O 0.061 0.047 0.937
Si 0.648 0.893 0.748
O 0.913 0.138 0.250
O 0.452 0.153 0.435
Na 0.507 0.896 0.250
O 0.939 0.932 0.091
P 0.854 0.401 0.762
O 0.439 0.568 0.591
O 0.151 0.430 0.241
O 0.650 0.829 0.915
Zn 0.101 0.259 0.055
P 0.000 0.958 0.762
O 0.651 0.070 0.741
Na 0.507 0.104 0.750
O 0.535 0.175 0.058
O 0.353 0.078 0.752
P 0.000 0.042 0.262
Na 0.749 0.228 0.977
Na 0.682 0.433 0.297
O 0.413 0.362 0.750
O 0.853 0.422 0.252
Zn 0.601 0.241 0.555
O 0.952 0.347 0.935
Zn 0.101 0.741 0.555
Na 0.249 0.272 0.477
O 0.745 0.192 0.254
O 0.257 0.856 0.748
O 0.035 0.675 0.058
O 0.071 0.144 0.245
O 0.855 0.644 0.087
O 0.757 0.644 0.248
O 0.151 0.570 0.741
O 0.571 0.644 0.245
Nb 0.895 0.755 0.936
Na 0.682 0.567 0.797
Nb 0.895 0.245 0.436
Si 0.648 0.107 0.248
O 0.651 0.930 0.241